# 1
Computed, not measured: a geometry-optimized PrAlNi4 structure at the r2SCAN level of DFT.

extended XYZ file:
```
6
Lattice="-4.434 -0.293 2.184 0.866 -2.919 -3.905 1.392 -2.854 2.442" Properties=species:S:1:pos:R:3 pbc="T T T"
Ni 1.129 -2.886 -0.732
Ni -3.539 -0.736 1.157
Al 0.696 -1.427 1.221
Ni -1.521 -1.574 2.313
Ni -0.029 -2.475 -2.877
Pr -1.784 -1.606 -0.860
```

Computed properties:
Total magnetic moment ... 0.00 μB/f.u.
Energy of formation ... -414 meV/atom
Total DFT energy (no corrections) ... -86.549 eV per formula unit



# 2
Computed, not measured: a geometry-optimized SmAl2Ni structure at the r2SCAN level of DFT.

extended XYZ file:
```
8
Lattice="-2.046 -3.023 1.713 5.613 -0.634 0.840 -0.463 3.608 5.816" Properties=species:S:1:pos:R:3 pbc="T T T"
Ni 0.853 -1.540 3.046
Al 1.768 -0.928 5.220
Sm -0.857 0.955 5.408
Al 1.515 -0.516 0.899
Sm 3.961 -1.003 2.961
Ni 2.251 1.492 5.322
Al 1.589 0.468 7.469
Al 1.336 0.879 3.148
```

Computed properties:
Total magnetic moment ... 0.00 μB/f.u.
Energy of formation ... -649 meV/atom
Total DFT energy (no corrections) ... -57.773 eV per formula unit